## Lu2GeO5 (PBE-GGA)

Data for Lu2GeO5 after structural relaxation.

Unit cell a=14.680 b=6.768 c=10.301 alpha=90.00 beta=121.70 gamma=90.00
Space group C2/c (No. 15)
Asymmetric unit:
Lu  0.035  0.240  0.468
Lu  0.137  0.124  0.839
Ge  0.185  0.407  0.308
O  0.017  0.098  0.897
O  0.082  0.491  0.128
O  0.117  0.201  0.327
O  0.193  0.154  0.676
O  0.204  0.419  0.947

Distance to the lowest polymorph of the same formula = 0.000 eV/atom
Energy of formation = -3.41 eV per atom
Calculated total energy = -62.3 eV/f.u.
V = 870.8 Å³ per cell